(i)
Entry from Materials Project: MgTi3V5O16 after structural relaxation (PBE with a Hubbard U).

Results
Space-group type ... P1
Crystal system ... triclinic

Lattice parameters (Å, degrees): 5.912 5.926 9.415 89.34 88.92 60.08
Positions (direct):
Mg  0.000  0.000  0.000
Ti  0.336  0.352  0.230
Ti  0.845  0.340  0.265
Ti  0.990  0.497  0.741
V  0.066  0.954  0.703
V  0.375  0.844  0.240
V  0.519  0.521  0.963
V  0.524  0.035  0.747
V  0.839  0.850  0.462
O  0.013  0.514  0.343
O  0.025  0.007  0.343
O  0.160  0.678  0.600
O  0.175  0.182  0.133
O  0.198  0.179  0.637
O  0.221  0.669  0.110
O  0.344  0.854  0.850
O  0.369  0.336  0.845
O  0.510  0.511  0.347
O  0.517  0.027  0.341
O  0.650  0.675  0.120
O  0.671  0.229  0.113
O  0.705  0.699  0.629
O  0.728  0.118  0.609
O  0.866  0.324  0.857
O  0.880  0.841  0.843


(ii)
Entry from Materials Project: MgTi3V5O16 after structural relaxation (PBE with a Hubbard U).

Results
Space-group type ... P1
Crystal system ... triclinic

Lattice parameters (Å, degrees): 5.860 5.880 9.784 82.12 81.68 61.66
Positions (direct):
Mg  0.000  0.000  0.000
Ti  0.044  0.038  0.706
Ti  0.294  0.749  0.273
Ti  0.815  0.295  0.272
V  0.024  0.525  0.764
V  0.327  0.322  0.062
V  0.529  0.023  0.763
V  0.578  0.572  0.542
V  0.751  0.814  0.271
O  0.123  0.663  0.144
O  0.132  0.137  0.146
O  0.219  0.713  0.638
O  0.229  0.225  0.645
O  0.330  0.898  0.861
O  0.348  0.347  0.871
O  0.457  0.898  0.382
O  0.458  0.448  0.379
O  0.630  0.642  0.160
O  0.664  0.131  0.142
O  0.719  0.213  0.639
O  0.722  0.716  0.652
O  0.868  0.866  0.852
O  0.896  0.468  0.382
O  0.897  0.330  0.862
O  0.941  0.947  0.360


Relative to the most stable one, in meV/atom, the structures come out at (i) 0; (ii) 25.


(i)
Entry from Materials Project: Fe4CoBi5O15 after structural relaxation (PBE with a Hubbard U).

Results
Space-group type ... P1
Crystal system ... triclinic

Lattice parameters (Å, degrees): 3.795 6.342 14.721 87.93 88.83 88.19
Positions (direct):
Fe  0.000  0.000  0.000
Fe  0.000  0.399  0.798
Fe  0.001  0.803  0.598
Fe  0.998  0.207  0.398
Co  0.002  0.593  0.197
Bi  0.450  0.832  0.793
Bi  0.451  0.636  0.392
Bi  0.454  0.236  0.593
Bi  0.459  0.022  0.197
Bi  0.461  0.436  0.992
O  0.000  0.087  0.527
O  0.002  0.880  0.128
O  0.003  0.680  0.727
O  0.024  0.393  0.117
O  0.026  0.186  0.716
O  0.027  0.789  0.916
O  0.028  0.989  0.316
O  0.029  0.589  0.516
O  0.494  0.289  0.426
O  0.495  0.091  0.027
O  0.496  0.483  0.828
O  0.496  0.683  0.229
O  0.497  0.890  0.627
O  0.997  0.287  0.929
O  0.997  0.488  0.327


(ii)
Entry from Materials Project: Fe4CoBi5O15 after structural relaxation (PBE with a Hubbard U).

Results
Space-group type ... P1
Crystal system ... triclinic

Lattice parameters (Å, degrees): 5.608 5.668 23.186 83.19 89.75 60.44
Positions (direct):
Fe  0.000  0.000  0.000
Fe  0.096  0.103  0.300
Fe  0.197  0.204  0.602
Fe  0.399  0.399  0.200
Fe  0.500  0.499  0.501
Fe  0.596  0.604  0.804
Fe  0.798  0.801  0.401
Fe  0.895  0.907  0.702
Co  0.310  0.282  0.904
Co  0.703  0.690  0.100
Bi  0.014  0.117  0.144
Bi  0.112  0.220  0.446
Bi  0.209  0.327  0.750
Bi  0.310  0.422  0.044
Bi  0.409  0.523  0.345
Bi  0.508  0.623  0.647
Bi  0.617  0.713  0.946
Bi  0.709  0.819  0.243
Bi  0.813  0.919  0.547
Bi  0.911  0.026  0.849
O  0.010  0.377  0.841
O  0.020  0.531  0.166
O  0.099  0.608  0.956
O  0.118  0.036  0.669
O  0.146  0.518  0.659
O  0.156  0.086  0.938
O  0.210  0.571  0.437
O  0.215  0.735  0.770
O  0.295  0.810  0.559
O  0.316  0.234  0.266
O  0.346  0.715  0.256
O  0.354  0.271  0.537
O  0.394  0.778  0.037
O  0.414  0.933  0.367
O  0.496  0.015  0.156
O  0.514  0.431  0.871
O  0.536  0.924  0.860
O  0.556  0.481  0.137
O  0.605  0.976  0.638
O  0.611  0.139  0.966
O  0.696  0.220  0.761
O  0.720  0.629  0.468
O  0.749  0.111  0.459
O  0.755  0.677  0.740
O  0.805  0.174  0.236
O  0.812  0.331  0.569
O  0.893  0.415  0.357
O  0.910  0.834  0.066
O  0.938  0.318  0.056
O  0.955  0.874  0.336


Relative to the most stable one, in meV/atom, the structures come out at (i) 0; (ii) 806.


(i)
Entry from Materials Project: Li2V2F7 after structural relaxation (PBE with a Hubbard U).

Results
Space-group type ... C2/c
Crystal system ... monoclinic

Lattice parameters (Å, degrees): 5.074 5.074 10.447 97.91 97.91 82.75
Positions (direct):
Li  0.150  0.759  0.519
Li  0.241  0.850  0.981
Li  0.759  0.150  0.019
Li  0.850  0.241  0.481
V  0.231  0.240  0.749
V  0.240  0.231  0.249
V  0.760  0.769  0.751
V  0.769  0.760  0.251
F  0.002  0.495  0.375
F  0.018  0.937  0.131
F  0.063  0.982  0.369
F  0.074  0.560  0.871
F  0.440  0.926  0.629
F  0.459  0.541  0.250
F  0.495  0.002  0.875
F  0.505  0.998  0.125
F  0.541  0.459  0.750
F  0.560  0.074  0.371
F  0.926  0.440  0.129
F  0.937  0.018  0.631
F  0.982  0.063  0.869
F  0.998  0.505  0.625


(ii)
Entry from Materials Project: Li2V2F7 after structural relaxation (PBE with a Hubbard U).

Results
Space-group type ... P-1
Crystal system ... triclinic

Lattice parameters (Å, degrees): 5.467 6.908 8.573 70.62 75.83 85.21
Positions (direct):
Li  0.133  0.021  0.254
Li  0.333  0.763  0.896
Li  0.667  0.237  0.104
Li  0.867  0.979  0.746
V  0.180  0.484  0.328
V  0.294  0.274  0.821
V  0.706  0.726  0.179
V  0.820  0.516  0.672
F  0.070  0.216  0.373
F  0.091  0.614  0.109
F  0.162  0.007  0.814
F  0.184  0.423  0.577
F  0.319  0.757  0.296
F  0.366  0.179  0.058
F  0.460  0.570  0.774
F  0.540  0.430  0.226
F  0.634  0.821  0.942
F  0.681  0.243  0.704
F  0.816  0.577  0.423
F  0.838  0.993  0.186
F  0.909  0.386  0.891
F  0.930  0.784  0.627


Relative to the most stable one, in meV/atom, the structures come out at (i) 50; (ii) 0.


(i)
Entry from Materials Project: Ta2Zn2CrO8 after structural relaxation (PBE with a Hubbard U).

Results
Space-group type ... C2/c
Crystal system ... monoclinic

Lattice parameters (Å, degrees): 10.254 10.254 5.298 91.48 91.48 34.02
Positions (direct):
Ta  0.038  0.728  0.768
Ta  0.272  0.962  0.732
Ta  0.728  0.038  0.268
Ta  0.962  0.272  0.232
Zn  0.129  0.434  0.269
Zn  0.434  0.129  0.769
Zn  0.566  0.871  0.231
Zn  0.871  0.566  0.731
Cr  0.351  0.649  0.250
Cr  0.649  0.351  0.750
O  0.043  0.811  0.438
O  0.076  0.282  0.933
O  0.160  0.452  0.640
O  0.189  0.957  0.062
O  0.282  0.076  0.433
O  0.305  0.578  0.919
O  0.422  0.695  0.581
O  0.452  0.160  0.140
O  0.548  0.840  0.860
O  0.578  0.305  0.419
O  0.695  0.422  0.081
O  0.718  0.924  0.567
O  0.811  0.043  0.938
O  0.840  0.548  0.360
O  0.924  0.718  0.067
O  0.957  0.189  0.562


(ii)
Entry from Materials Project: Ta2Zn2CrO8 after structural relaxation (PBE with a Hubbard U).

Lattice parameters (Å, degrees): 6.021 10.144 10.572 90.88 91.08 104.41
Positions (direct):
Cr  0.354  0.002  0.122
Zn  0.869  0.442  0.864
Zn  0.435  0.565  0.382
O  0.711  0.122  0.534
Cr  0.354  0.002  0.622
O  0.919  0.641  0.034
O  0.017  0.852  0.222
O  0.558  0.883  0.205
Ta  0.718  0.764  0.634
Ta  0.030  0.766  0.386
O  0.154  0.612  0.819
O  0.287  0.361  0.214
O  0.450  0.613  0.570
O  0.558  0.883  0.704
O  0.017  0.852  0.722
O  0.202  0.146  0.029
O  0.843  0.388  0.678
O  0.711  0.122  0.034
O  0.202  0.146  0.529
O  0.980  0.148  0.776
Ta  0.279  0.236  0.363
O  0.980  0.148  0.276
O  0.079  0.359  0.464
O  0.843  0.388  0.178
O  0.919  0.641  0.534
O  0.287  0.878  0.963
Ta  0.030  0.766  0.886
O  0.439  0.117  0.793
O  0.796  0.855  0.968
O  0.547  0.387  0.428
O  0.079  0.359  0.964
Cr  0.644  0.998  0.875
Ta  0.718  0.764  0.134
Zn  0.562  0.435  0.115
O  0.287  0.361  0.714
Zn  0.562  0.436  0.615
O  0.287  0.878  0.463
Zn  0.435  0.565  0.882
Ta  0.968  0.235  0.111
Zn  0.129  0.558  0.133
O  0.439  0.117  0.293
O  0.547  0.387  0.928
Ta  0.279  0.236  0.863
Ta  0.968  0.235  0.612
Zn  0.129  0.558  0.633
O  0.154  0.612  0.319
O  0.796  0.855  0.468
Zn  0.869  0.442  0.364
O  0.450  0.613  0.070
O  0.711  0.640  0.784
O  0.711  0.639  0.284
Cr  0.644  0.998  0.375


Relative to the most stable one, in meV/atom, the structures come out at (i) 5; (ii) 0.


(i)
Entry from Materials Project: Mn12O7F17 after structural relaxation (PBE with a Hubbard U).

Results
Space-group type ... P1
Crystal system ... triclinic

Lattice parameters (Å, degrees): 5.273 5.728 14.496 85.37 88.92 89.14
Positions (direct):
Mn  0.000  0.000  0.000
Mn  0.005  0.559  0.181
Mn  0.012  0.487  0.833
Mn  0.017  0.954  0.340
Mn  0.026  0.977  0.665
Mn  0.036  0.473  0.495
Mn  0.482  0.151  0.168
Mn  0.487  0.148  0.837
Mn  0.495  0.179  0.501
Mn  0.518  0.662  0.340
Mn  0.538  0.642  0.009
Mn  0.551  0.655  0.670
O  0.151  0.219  0.908
O  0.187  0.215  0.576
O  0.212  0.754  0.264
O  0.347  0.433  0.425
O  0.849  0.752  0.079
O  0.857  0.686  0.405
O  0.873  0.715  0.740
F  0.139  0.231  0.255
F  0.199  0.715  0.920
F  0.212  0.720  0.589
F  0.297  0.437  0.094
F  0.326  0.433  0.754
F  0.326  0.943  0.069
F  0.352  0.931  0.740
F  0.357  0.937  0.416
F  0.654  0.442  0.238
F  0.674  0.445  0.899
F  0.692  0.927  0.257
F  0.693  0.956  0.587
F  0.700  0.926  0.922
F  0.717  0.446  0.570
F  0.790  0.242  0.074
F  0.827  0.178  0.421
F  0.830  0.210  0.750


(ii)
Entry from Materials Project: Mn12O7F17 after structural relaxation (PBE with a Hubbard U).

Results
Space-group type ... P1
Crystal system ... triclinic

Lattice parameters (Å, degrees): 4.794 5.807 15.862 90.52 90.22 90.56
Positions (direct):
Mn  0.000  0.000  0.000
Mn  0.000  0.021  0.348
Mn  0.034  0.994  0.674
Mn  0.036  0.324  0.182
Mn  0.043  0.323  0.510
Mn  0.509  0.809  0.174
Mn  0.516  0.504  0.672
Mn  0.534  0.816  0.503
Mn  0.538  0.488  0.330
Mn  0.545  0.795  0.844
Mn  0.553  0.495  0.003
Mn  0.981  0.332  0.842
O  0.306  0.547  0.561
O  0.320  0.527  0.229
O  0.731  0.546  0.785
O  0.743  0.760  0.948
O  0.801  0.270  0.947
O  0.814  0.277  0.287
O  0.821  0.054  0.456
F  0.228  0.295  0.735
F  0.248  0.032  0.241
F  0.267  0.035  0.889
F  0.267  0.272  0.067
F  0.274  0.537  0.900
F  0.278  0.280  0.404
F  0.289  0.054  0.568
F  0.289  0.772  0.058
F  0.299  0.773  0.389
F  0.310  0.784  0.737
F  0.761  0.766  0.615
F  0.764  0.547  0.441
F  0.767  0.777  0.282
F  0.776  0.556  0.117
F  0.783  0.048  0.780
F  0.799  0.059  0.122
F  0.809  0.279  0.617


Relative to the most stable one, in meV/atom, the structures come out at (i) 0; (ii) 9.